A plane-wave DFT calculation with PBE+U was carried out for crystalline MgMn6O12 at its relaxed geometry.

abc: 2.944 9.462 9.566
angles: 91.60 90.00 90.00
Fractional positions:
O 0.500 0.403 0.905
O 0.500 0.890 0.327
O 0.500 0.597 0.095
O 0.000 0.899 0.586
O 0.000 0.664 0.885
O 0.000 0.850 0.081
O 0.500 0.110 0.673
O 0.000 0.336 0.115
O 0.500 0.094 0.162
O 0.500 0.906 0.838
O 0.000 0.150 0.919
O 0.000 0.101 0.414
Mn 0.500 0.000 0.500
Mn 0.500 0.767 0.980
Mn 0.000 0.988 0.234
Mn 0.500 0.233 0.020
Mn 0.000 0.012 0.766
Mn 0.000 0.500 0.000
Mg 0.500 0.500 0.500

Output
total energy	-129.9	eV per formula unit
volume	266.37	Å³ per cell
magnetic moment	18.619	μB per cell
E_form	-1.69	eV per atom
theoretical density	3.4	g cm⁻³



A plane-wave DFT calculation with PBE+U was carried out for crystalline Mn3CoO8 at its relaxed geometry.

abc: 5.801 5.782 5.801
angles: 120.11 120.00 59.89
Fractional positions:
Co 0.000 0.000 0.000
O 0.739 0.798 0.768
O 0.232 0.798 0.768
O 0.265 0.205 0.735
O 0.768 0.202 0.739
O 0.261 0.202 0.232
O 0.232 0.798 0.261
O 0.735 0.795 0.265
O 0.768 0.202 0.232
Mn 0.000 0.000 0.500
Mn 0.500 0.000 0.500
Mn 0.500 0.000 0.000

Output
total energy	-81.2	eV per formula unit
volume	137.35	Å³ per cell
magnetic moment	10.000	μB per cell
E_form	-1.60	eV per atom
theoretical density	4.3	g cm⁻³



A plane-wave DFT calculation with PBE+U was carried out for crystalline Li9Mn12Ni3O32 at its relaxed geometry.

abc: 8.297 8.297 8.264
angles: 89.80 89.80 90.12
Fractional positions:
O 0.884 0.636 0.759
O 0.357 0.398 0.500
O 0.629 0.109 0.520
O 0.602 0.643 0.500
O 0.149 0.128 0.021
O 0.861 0.106 0.733
O 0.105 0.622 0.975
O 0.625 0.352 0.766
O 0.136 0.614 0.509
O 0.126 0.392 0.727
O 0.617 0.135 0.988
O 0.393 0.125 0.772
O 0.399 0.358 0.000
O 0.636 0.887 0.739
O 0.113 0.364 0.261
O 0.891 0.371 0.480
O 0.852 0.880 0.513
O 0.144 0.901 0.254
O 0.378 0.895 0.025
O 0.364 0.116 0.241
O 0.608 0.874 0.273
O 0.351 0.625 0.733
O 0.375 0.649 0.267
O 0.875 0.607 0.228
O 0.865 0.383 0.012
O 0.120 0.148 0.487
O 0.642 0.601 0.000
O 0.872 0.851 0.979
O 0.648 0.375 0.234
O 0.099 0.856 0.746
O 0.894 0.139 0.267
O 0.386 0.864 0.491
Mn 0.628 0.372 0.000
Mn 0.377 0.123 0.004
Mn 0.122 0.627 0.748
Mn 0.621 0.875 0.502
Mn 0.874 0.870 0.750
Mn 0.371 0.629 0.500
Mn 0.373 0.878 0.252
Mn 0.877 0.623 0.996
Mn 0.130 0.126 0.250
Mn 0.878 0.377 0.248
Mn 0.623 0.122 0.752
Mn 0.125 0.379 0.498
Ni 0.374 0.376 0.751
Ni 0.624 0.626 0.249
Ni 0.876 0.124 0.500
Li 0.745 0.497 0.622
Li 0.752 0.993 0.128
Li 0.252 0.504 0.120
Li 0.126 0.874 0.000
Li 0.245 0.001 0.630
Li 0.496 0.748 0.880
Li 0.007 0.248 0.872
Li 0.999 0.755 0.370
Li 0.503 0.255 0.378

Output
total energy	-363.0	eV per formula unit
volume	568.89	Å³ per cell
magnetic moment	40.999	μB per cell
E_form	-1.96	eV per atom
theoretical density	4.1	g cm⁻³



A plane-wave DFT calculation with PBE+U was carried out for crystalline LiVCrP4O14 at its relaxed geometry.

abc: 7.164 9.685 16.851
angles: 102.09 96.14 111.37
Fractional positions:
Cr 0.724 0.996 0.503
Cr 0.469 0.745 0.002
Cr 0.971 0.243 0.000
Cr 0.217 0.493 0.499
O 0.302 0.691 0.591
O 0.832 0.082 0.324
O 0.612 0.365 0.574
O 0.705 0.221 0.174
O 0.909 0.798 0.841
O 0.353 0.841 0.927
O 0.308 0.423 0.599
O 0.953 0.471 0.674
O 0.455 0.986 0.269
O 0.112 0.018 0.717
O 0.355 0.270 0.218
O 0.416 0.024 0.837
O 0.335 0.583 0.323
O 0.887 0.737 0.669
O 0.194 0.714 0.176
O 0.679 0.162 0.019
O 0.057 0.173 0.098
O 0.799 0.191 0.590
O 0.964 0.485 0.270
O 0.166 0.775 0.338
O 0.739 0.824 0.967
O 0.607 0.520 0.718
O 0.934 0.409 0.520
O 0.554 0.664 0.095
O 0.552 0.943 0.090
O 0.214 0.735 0.770
O 0.913 0.521 0.834
O 0.446 0.965 0.676
O 0.049 0.440 0.091
O 0.083 0.332 0.823
O 0.912 0.053 0.911
O 0.488 0.574 0.467
O 0.103 0.591 0.426
O 0.803 0.914 0.595
O 0.859 0.610 0.074
O 0.242 0.324 0.967
O 0.408 0.294 0.844
O 0.410 0.554 0.910
O 0.363 0.117 0.075
O 0.428 0.911 0.521
O 0.660 0.550 0.342
O 0.385 0.236 0.666
O 0.592 0.084 0.424
O 0.993 0.074 0.467
O 0.109 0.862 0.574
O 0.863 0.767 0.217
O 0.637 0.487 0.169
O 0.133 0.985 0.165
O 0.663 0.270 0.333
O 0.160 0.303 0.409
O 0.585 0.833 0.823
O 0.705 0.236 0.769
O 0.182 0.657 0.021
O 0.843 0.334 0.924
O 0.157 0.043 0.344
O 0.661 0.805 0.412
P 0.879 0.357 0.838
P 0.628 0.106 0.339
P 0.476 0.387 0.641
P 0.795 0.880 0.892
P 0.293 0.382 0.891
P 0.722 0.636 0.141
P 0.083 0.605 0.089
P 0.225 0.137 0.141
P 0.971 0.886 0.641
P 0.546 0.632 0.392
P 0.042 0.131 0.391
P 0.134 0.609 0.342
P 0.585 0.104 0.090
P 0.332 0.855 0.590
P 0.384 0.859 0.842
P 0.836 0.355 0.588
Li 0.539 0.216 0.932
Li 0.291 0.966 0.432
Li 0.263 0.591 0.681
Li 0.015 0.343 0.182
V 0.157 0.879 0.247
V 0.407 0.130 0.748
V 0.905 0.634 0.753
V 0.655 0.385 0.254

Output
total energy	-153.8	eV per formula unit
volume	1042.92	Å³ per cell
magnetic moment	16.001	μB per cell
E_form	-2.64	eV per atom
theoretical density	2.9	g cm⁻³